No. 1
A geometry-optimized Al2H16S3O20 structure. Source: the Materials Project database, functional GGA-PBE.

abc: 7.401 22.168 9.661
angles: 90.00 91.45 90.00
Element x y z (fractional)
Al 0.194 0.148 0.452
Al 0.194 0.352 0.952
Al 0.225 0.603 0.498
Al 0.225 0.897 0.998
Al 0.775 0.103 0.002
Al 0.775 0.397 0.502
Al 0.806 0.648 0.048
Al 0.806 0.852 0.548
H 0.002 0.044 0.854
H 0.002 0.456 0.354
H 0.015 0.739 0.108
H 0.015 0.761 0.608
H 0.089 0.579 0.040
H 0.089 0.921 0.540
H 0.122 0.640 0.952
H 0.122 0.860 0.452
H 0.150 0.238 0.997
H 0.150 0.262 0.497
H 0.156 0.003 0.100
H 0.156 0.497 0.600
H 0.229 0.114 0.700
H 0.229 0.386 0.200
H 0.263 0.033 0.490
H 0.263 0.467 0.990
H 0.279 0.693 0.330
H 0.279 0.807 0.830
H 0.351 0.176 0.695
H 0.351 0.324 0.195
H 0.377 0.055 0.358
H 0.377 0.445 0.858
H 0.439 0.070 0.018
H 0.439 0.430 0.518
H 0.444 0.222 0.362
H 0.444 0.278 0.862
H 0.472 0.675 0.407
H 0.472 0.680 0.019
H 0.472 0.820 0.519
H 0.472 0.825 0.907
H 0.476 0.544 0.626
H 0.476 0.956 0.126
H 0.524 0.044 0.874
H 0.524 0.456 0.374
H 0.528 0.175 0.093
H 0.528 0.180 0.481
H 0.528 0.320 0.981
H 0.528 0.325 0.593
H 0.556 0.722 0.138
H 0.556 0.778 0.638
H 0.561 0.570 0.482
H 0.561 0.930 0.982
H 0.623 0.555 0.142
H 0.623 0.945 0.642
H 0.649 0.676 0.805
H 0.649 0.824 0.305
H 0.721 0.193 0.170
H 0.721 0.307 0.670
H 0.737 0.533 0.010
H 0.737 0.967 0.510
H 0.771 0.614 0.800
H 0.771 0.886 0.300
H 0.844 0.503 0.400
H 0.844 0.997 0.900
H 0.850 0.738 0.503
H 0.850 0.762 0.003
H 0.878 0.140 0.548
H 0.878 0.360 0.048
H 0.911 0.079 0.460
H 0.911 0.421 0.960
H 0.985 0.239 0.392
H 0.985 0.261 0.892
H 0.998 0.544 0.646
H 0.998 0.956 0.146
S 0.168 0.136 0.120
S 0.168 0.364 0.620
S 0.269 0.511 0.238
S 0.269 0.989 0.738
S 0.307 0.698 0.752
S 0.307 0.802 0.252
S 0.693 0.198 0.748
S 0.693 0.302 0.248
S 0.731 0.011 0.262
S 0.731 0.489 0.762
S 0.832 0.636 0.380
S 0.832 0.864 0.880
O 0.000 0.141 0.032
O 0.000 0.359 0.532
O 0.000 0.641 0.468
O 0.000 0.859 0.968
O 0.027 0.614 0.994
O 0.027 0.886 0.494
O 0.084 0.226 0.458
O 0.084 0.274 0.958
O 0.115 0.147 0.265
O 0.115 0.353 0.765
O 0.118 0.540 0.599
O 0.118 0.960 0.099
O 0.193 0.560 0.325
O 0.193 0.940 0.825
O 0.194 0.748 0.225
O 0.194 0.752 0.725
O 0.195 0.048 0.787
O 0.195 0.452 0.287
O 0.207 0.521 0.092
O 0.207 0.979 0.592
O 0.236 0.646 0.668
O 0.236 0.854 0.168
O 0.251 0.075 0.107
O 0.251 0.425 0.607
O 0.254 0.151 0.645
O 0.254 0.349 0.145
O 0.293 0.183 0.073
O 0.293 0.317 0.573
O 0.298 0.069 0.433
O 0.298 0.431 0.933
O 0.300 0.679 0.900
O 0.300 0.821 0.400
O 0.341 0.666 0.399
O 0.341 0.834 0.899
O 0.426 0.183 0.412
O 0.426 0.317 0.912
O 0.450 0.568 0.539
O 0.450 0.932 0.039
O 0.469 0.509 0.248
O 0.469 0.991 0.748
O 0.498 0.712 0.718
O 0.498 0.788 0.218
O 0.502 0.212 0.782
O 0.502 0.288 0.282
O 0.531 0.009 0.252
O 0.531 0.491 0.752
O 0.550 0.068 0.961
O 0.550 0.432 0.461
O 0.574 0.683 0.088
O 0.574 0.817 0.588
O 0.659 0.166 0.101
O 0.659 0.334 0.601
O 0.700 0.179 0.600
O 0.700 0.321 0.100
O 0.702 0.569 0.067
O 0.702 0.931 0.567
O 0.707 0.683 0.427
O 0.707 0.817 0.927
O 0.746 0.651 0.855
O 0.746 0.849 0.355
O 0.749 0.575 0.393
O 0.749 0.925 0.893
O 0.764 0.146 0.832
O 0.764 0.354 0.332
O 0.793 0.021 0.408
O 0.793 0.479 0.908
O 0.805 0.548 0.713
O 0.805 0.952 0.213
O 0.806 0.248 0.275
O 0.806 0.252 0.775
O 0.807 0.060 0.175
O 0.807 0.440 0.675
O 0.882 0.040 0.901
O 0.882 0.460 0.401
O 0.885 0.647 0.235
O 0.885 0.853 0.735
O 0.916 0.726 0.042
O 0.916 0.774 0.542
O 0.973 0.114 0.506
O 0.973 0.386 0.006

Values from the calculation:
For the total energy, the calculation gives -5.622 eV/atom. The energy of formation is -1.734 eV per atom. The value obtained for the density is 2.04 Mg/m³.

---

No. 2
A geometry-optimized Al2H32S3O28 structure. Source: the Materials Project database, functional GGA-PBE.

abc: 6.066 7.523 27.344
angles: 93.08 91.06 98.25
Element x y z (fractional)
Al 0.004 0.281 0.098
Al 0.009 0.740 0.599
Al 0.991 0.260 0.401
Al 0.996 0.719 0.902
H 0.006 0.571 0.149
H 0.026 0.567 0.362
H 0.030 0.040 0.757
H 0.036 0.884 0.820
H 0.052 0.046 0.936
H 0.072 0.056 0.565
H 0.074 0.219 0.699
H 0.121 0.780 0.202
H 0.174 0.954 0.674
H 0.175 0.293 0.011
H 0.182 0.284 0.489
H 0.187 0.978 0.416
H 0.192 0.497 0.035
H 0.196 0.483 0.467
H 0.198 0.741 0.683
H 0.200 0.086 0.239
H 0.200 0.442 0.892
H 0.203 0.460 0.606
H 0.212 0.998 0.082
H 0.223 0.604 0.214
H 0.231 0.755 0.823
H 0.257 0.632 0.301
H 0.278 0.776 0.346
H 0.305 0.279 0.336
H 0.308 0.756 0.532
H 0.309 0.750 0.967
H 0.320 0.236 0.721
H 0.362 0.322 0.159
H 0.380 0.408 0.386
H 0.386 0.888 0.924
H 0.389 0.451 0.114
H 0.400 0.889 0.579
H 0.600 0.111 0.421
H 0.611 0.549 0.886
H 0.614 0.112 0.076
H 0.620 0.592 0.614
H 0.638 0.678 0.841
H 0.680 0.764 0.279
H 0.691 0.250 0.033
H 0.692 0.244 0.468
H 0.695 0.721 0.664
H 0.722 0.224 0.654
H 0.743 0.368 0.699
H 0.769 0.245 0.177
H 0.777 0.396 0.786
H 0.788 0.002 0.918
H 0.797 0.540 0.394
H 0.800 0.558 0.108
H 0.800 0.914 0.761
H 0.802 0.259 0.317
H 0.804 0.517 0.533
H 0.808 0.503 0.965
H 0.813 0.022 0.584
H 0.818 0.716 0.511
H 0.825 0.707 0.989
H 0.826 0.046 0.326
H 0.879 0.220 0.798
H 0.926 0.781 0.301
H 0.928 0.944 0.435
H 0.948 0.954 0.064
H 0.964 0.116 0.180
H 0.970 0.960 0.243
H 0.974 0.433 0.638
H 0.994 0.429 0.851
S 0.476 0.620 0.742
S 0.477 0.234 0.939
S 0.489 0.245 0.562
S 0.511 0.755 0.438
S 0.523 0.766 0.061
S 0.524 0.380 0.258
O 0.040 0.023 0.417
O 0.056 0.485 0.884
O 0.056 0.502 0.611
O 0.067 0.047 0.079
O 0.084 0.005 0.220
O 0.093 0.647 0.199
O 0.115 0.808 0.842
O 0.117 0.370 0.038
O 0.121 0.356 0.463
O 0.151 0.828 0.659
O 0.169 0.695 0.325
O 0.192 0.147 0.709
O 0.255 0.600 0.717
O 0.263 0.181 0.964
O 0.275 0.301 0.373
O 0.277 0.171 0.535
O 0.283 0.776 0.932
O 0.292 0.781 0.568
O 0.295 0.343 0.126
O 0.337 0.690 0.473
O 0.346 0.689 0.024
O 0.360 0.245 0.282
O 0.435 0.903 0.410
O 0.442 0.560 0.260
O 0.447 0.371 0.903
O 0.452 0.395 0.597
O 0.457 0.930 0.087
O 0.461 0.686 0.795
O 0.539 0.314 0.205
O 0.543 0.070 0.913
O 0.548 0.605 0.403
O 0.553 0.629 0.097
O 0.558 0.440 0.740
O 0.565 0.097 0.590
O 0.640 0.755 0.718
O 0.654 0.311 0.976
O 0.663 0.310 0.527
O 0.705 0.657 0.874
O 0.708 0.219 0.432
O 0.717 0.224 0.068
O 0.723 0.829 0.465
O 0.725 0.699 0.627
O 0.737 0.819 0.036
O 0.745 0.400 0.283
O 0.808 0.853 0.291
O 0.831 0.305 0.675
O 0.849 0.172 0.341
O 0.879 0.644 0.537
O 0.883 0.630 0.962
O 0.885 0.192 0.158
O 0.907 0.353 0.801
O 0.916 0.995 0.780
O 0.933 0.953 0.921
O 0.944 0.498 0.389
O 0.944 0.515 0.116
O 0.960 0.977 0.583

Values from the calculation:
For the total energy, the calculation gives -5.381 eV/atom. The energy of formation is -1.569 eV per atom. The value obtained for the density is 1.70 Mg/m³.

---

Number 1: calculated volume 1584 Å³/cell. Number 2: calculated volume 1233 Å³/cell.